i:
First-principles (r²SCAN) data for a relaxed Co3Se4 crystal, as listed in Materials Project.

```
Co3Se4
1.0
-3.530 3.530 4.974
3.530 -3.530 4.974
3.530 3.530 -4.974
Co Se
6 8
Direct
0.000 0.000 0.000
0.000 0.000 0.500
0.000 0.500 0.000
0.375 0.625 0.750
0.500 0.000 0.500
0.625 0.375 0.250
0.215 0.239 0.976
0.238 0.761 0.476
0.239 0.215 0.476
0.239 0.762 0.024
0.761 0.238 0.976
0.761 0.785 0.524
0.762 0.239 0.524
0.785 0.761 0.024
```

Summary:
Its crystal system is tetragonal. The volume is 17.7 A^3/atom. The value obtained for the theoretical density is 6.60 g/cm3.

***

ii:
First-principles (r²SCAN) data for a relaxed Co3Se4 crystal, as listed in Materials Project.

```
Co3Se4
1.0
12.264 0.000 0.000
0.000 3.582 0.000
-3.091 0.000 5.336
Co Se
6 8
Direct
0.000 0.000 0.000
0.245 0.500 0.756
0.255 0.000 0.244
0.500 0.500 0.000
0.745 0.000 0.756
0.755 0.500 0.244
0.134 0.000 0.802
0.135 0.500 0.302
0.365 0.000 0.698
0.366 0.500 0.198
0.634 0.500 0.802
0.635 0.000 0.302
0.865 0.500 0.698
0.866 0.000 0.198
```

Summary:
Its crystal system is monoclinic. The volume is 16.7 A^3/atom. The value obtained for the theoretical density is 6.98 g/cm3.

***

Most stable structure: i

***

i:
First-principles (r²SCAN) data for a relaxed Li2CrO3 crystal, as listed in Materials Project.

```
Li2CrO3
1.0
-5.001 0.000 0.031
-1.725 0.000 4.710
0.000 8.476 0.000
Li Cr O
8 4 12
Direct
0.000 0.500 0.501
0.500 0.500 0.999
0.000 0.000 0.000
0.500 0.000 0.500
0.000 0.500 0.843
0.500 0.500 0.343
0.000 0.500 0.157
0.500 0.500 0.657
0.500 0.000 0.828
0.000 0.000 0.672
0.000 0.000 0.328
0.500 0.000 0.172
0.220 0.771 0.500
0.720 0.771 0.000
0.780 0.229 0.500
0.280 0.229 0.000
0.249 0.226 0.319
0.749 0.227 0.819
0.249 0.227 0.681
0.749 0.226 0.181
0.751 0.773 0.681
0.251 0.774 0.181
0.751 0.774 0.319
0.251 0.773 0.819
```

Summary:
The volume is 8.3 A^3/atom. The value obtained for the theoretical density is 3.80 g/cm3.

***

ii:
First-principles (r²SCAN) data for a relaxed Li2CrO3 crystal, as listed in Materials Project.

```
Li2CrO3
1.0
4.447 -2.865 0.000
4.447 2.865 0.000
-2.502 0.000 4.629
Li Cr O
4 2 6
Direct
0.082 0.240 0.077
0.240 0.082 0.577
0.760 0.918 0.423
0.918 0.760 0.923
0.414 0.586 0.750
0.586 0.414 0.250
0.110 0.890 0.750
0.282 0.418 0.932
0.418 0.282 0.432
0.582 0.718 0.568
0.718 0.582 0.068
0.890 0.110 0.250
```

Summary:
Its crystal system is monoclinic. The volume is 9.8 A^3/atom. The value obtained for the theoretical density is 3.21 g/cm3.

***

Most stable structure: ii

***

i:
First-principles (r²SCAN) data for a relaxed LiCrP2O7 crystal, as listed in Materials Project.

```
LiCrP2O7
1.0
-7.006 2.559 0.382
3.165 2.395 -8.901
0.689 -6.463 -3.678
Li Cr P O
4 4 8 28
Direct
0.925 0.250 0.925
0.424 0.750 0.425
0.076 0.750 0.075
0.575 0.250 0.576
0.683 0.500 0.183
0.817 0.000 0.317
0.183 0.000 0.683
0.317 0.500 0.817
0.221 0.027 0.280
0.720 0.527 0.779
0.279 0.473 0.220
0.779 0.973 0.721
0.973 0.695 0.527
0.473 0.195 0.027
0.527 0.805 0.973
0.027 0.305 0.473
0.266 0.620 0.234
0.766 0.120 0.735
0.235 0.880 0.266
0.734 0.380 0.766
0.841 0.647 0.658
0.342 0.147 0.158
0.658 0.853 0.841
0.158 0.353 0.341
0.498 0.638 0.002
0.998 0.138 0.502
0.002 0.862 0.498
0.502 0.362 0.998
0.176 0.436 0.009
0.676 0.936 0.510
0.510 0.564 0.676
0.010 0.064 0.176
0.324 0.064 0.490
0.824 0.564 0.990
0.990 0.936 0.824
0.490 0.436 0.324
0.329 0.852 0.864
0.829 0.352 0.364
0.171 0.648 0.636
0.671 0.148 0.136
0.364 0.148 0.829
0.864 0.648 0.329
0.136 0.352 0.671
0.636 0.852 0.171
```

Summary:
The volume is 10.7 A^3/atom. The value obtained for the theoretical density is 3.29 g/cm3.

***

ii:
First-principles (r²SCAN) data for a relaxed LiCrP2O7 crystal, as listed in Materials Project.

```
LiCrP2O7
1.0
6.878 0.000 0.000
0.000 8.097 0.000
-3.463 0.000 8.931
Li Cr P O
4 4 8 28
Direct
0.171 0.138 0.252
0.171 0.362 0.752
0.829 0.638 0.248
0.829 0.862 0.748
0.222 0.001 0.752
0.222 0.499 0.252
0.778 0.501 0.748
0.778 0.999 0.248
0.201 0.684 0.947
0.201 0.816 0.447
0.389 0.214 0.058
0.389 0.286 0.558
0.611 0.714 0.442
0.611 0.786 0.942
0.799 0.184 0.553
0.799 0.316 0.053
0.085 0.543 0.846
0.085 0.957 0.346
0.125 0.649 0.376
0.125 0.851 0.876
0.207 0.672 0.104
0.207 0.828 0.604
0.246 0.181 0.898
0.246 0.319 0.398
0.271 0.189 0.637
0.271 0.311 0.137
0.433 0.664 0.949
0.433 0.836 0.449
0.484 0.059 0.144
0.484 0.441 0.644
0.516 0.559 0.356
0.516 0.941 0.856
0.567 0.164 0.551
0.567 0.336 0.051
0.729 0.689 0.863
0.729 0.811 0.363
0.754 0.681 0.602
0.754 0.819 0.102
0.793 0.172 0.396
0.793 0.328 0.896
0.875 0.149 0.124
0.875 0.351 0.624
0.915 0.043 0.654
0.915 0.457 0.154
```

Summary:
Its crystal system is monoclinic. The volume is 11.3 A^3/atom. The value obtained for the theoretical density is 3.11 g/cm3.

***

Most stable structure: ii

***

i:
First-principles (r²SCAN) data for a relaxed NaCr2S4 crystal, as listed in Materials Project.

```
NaCr2S4
1.0
6.838 0.000 0.000
0.000 13.839 0.000
0.000 0.000 5.913
Na Cr S
4 8 16
Direct
0.250 0.250 0.014
0.250 0.750 0.342
0.750 0.250 0.658
0.750 0.750 0.986
0.000 0.000 0.500
0.000 0.500 0.500
0.250 0.501 0.996
0.250 0.999 0.996
0.500 0.000 0.500
0.500 0.500 0.500
0.750 0.001 0.004
0.750 0.499 0.004
0.001 0.598 0.166
0.001 0.902 0.166
0.250 0.096 0.333
0.250 0.404 0.333
0.250 0.598 0.667
0.250 0.902 0.667
0.499 0.598 0.166
0.499 0.902 0.166
0.501 0.098 0.834
0.501 0.402 0.834
0.750 0.098 0.333
0.750 0.402 0.333
0.750 0.596 0.667
0.750 0.904 0.667
0.999 0.098 0.834
0.999 0.402 0.834
```

Summary:
Its crystal system is orthorhombic. The volume is 20.0 A^3/atom. The value obtained for the theoretical density is 3.03 g/cm3.

***

ii:
First-principles (r²SCAN) data for a relaxed NaCr2S4 crystal, as listed in Materials Project.

```
NaCr2S4
1.0
5.888 0.000 0.000
0.000 3.445 0.000
-0.021 0.000 6.815
Na Cr S
1 2 4
Direct
0.000 0.000 0.000
0.000 0.000 0.500
0.500 0.500 0.500
0.164 0.500 0.302
0.336 0.000 0.696
0.664 0.000 0.304
0.836 0.500 0.698
```

Summary:
Its crystal system is monoclinic. The volume is 19.7 A^3/atom. The value obtained for the theoretical density is 3.07 g/cm3.

***

Most stable structure: i

***

i:
First-principles (r²SCAN) data for a relaxed TaCr2 crystal, as listed in Materials Project.

```
TaCr2
1.0
0.000 3.449 3.449
3.449 0.000 3.449
3.449 3.449 0.000
Ta Cr
2 4
Direct
0.125 0.125 0.125
0.875 0.875 0.875
0.000 0.500 0.500
0.500 0.000 0.500
0.500 0.500 0.000
0.500 0.500 0.500
```

Summary:
Its crystal system is cubic. The volume is 13.7 A^3/atom. The value obtained for the theoretical density is 11.53 g/cm3.

***

ii:
First-principles (r²SCAN) data for a relaxed TaCr2 crystal, as listed in Materials Project.

```
TaCr2
1.0
4.869 0.000 0.000
-2.434 4.216 0.000
0.000 0.000 8.006
Ta Cr
4 8
Direct
0.333 0.667 0.060
0.333 0.667 0.440
0.667 0.333 0.560
0.667 0.333 0.940
0.000 0.000 0.000
0.000 0.000 0.500
0.170 0.340 0.750
0.170 0.830 0.750
0.340 0.170 0.250
0.660 0.830 0.750
0.830 0.170 0.250
0.830 0.660 0.250
```

Summary:
Its crystal system is hexagonal. The volume is 13.7 A^3/atom. The value obtained for the theoretical density is 11.52 g/cm3.

***

Most stable structure: i

***

i:
First-principles (r²SCAN) data for a relaxed Cs3TlO3 crystal, as listed in Materials Project.

```
Cs3TlO3
1.0
4.029 -6.229 0.000
4.029 6.229 0.000
-1.548 0.000 7.267
Cs Tl O
6 2 6
Direct
0.196 0.804 0.000
0.256 0.744 0.500
0.366 0.366 0.156
0.634 0.634 0.844
0.744 0.256 0.500
0.804 0.196 0.000
0.180 0.180 0.652
0.820 0.820 0.348
0.097 0.097 0.345
0.160 0.445 0.774
0.445 0.160 0.774
0.555 0.840 0.226
0.840 0.555 0.226
0.903 0.903 0.655
```

Summary:
Its crystal system is monoclinic. The volume is 26.1 A^3/atom. The value obtained for the theoretical density is 5.93 g/cm3.

***

ii:
First-principles (r²SCAN) data for a relaxed Cs3TlO3 crystal, as listed in Materials Project.

```
Cs3TlO3
1.0
8.296 0.000 0.000
0.000 7.373 0.000
-1.003 0.000 11.913
Cs Tl O
12 4 12
Direct
0.048 0.126 0.155
0.048 0.374 0.655
0.352 0.175 0.928
0.352 0.325 0.428
0.372 0.684 0.807
0.372 0.816 0.307
0.628 0.184 0.693
0.628 0.316 0.193
0.648 0.675 0.572
0.648 0.825 0.072
0.952 0.626 0.345
0.952 0.874 0.845
0.162 0.589 0.069
0.162 0.911 0.569
0.838 0.089 0.431
0.838 0.411 0.931
0.101 0.045 0.402
0.101 0.455 0.902
0.253 0.647 0.537
0.253 0.853 0.037
0.298 0.065 0.694
0.298 0.435 0.194
0.702 0.565 0.806
0.702 0.935 0.306
0.747 0.147 0.963
0.747 0.353 0.463
0.899 0.545 0.098
0.899 0.955 0.598
```

Summary:
Its crystal system is monoclinic. The volume is 26.0 A^3/atom. The value obtained for the theoretical density is 5.94 g/cm3.

***

Most stable structure: ii